First-principles (meta-GGA r2SCAN) data for crystalline SrSn3 at its relaxed geometry, as listed in the Materials Project.

Lattice parameters (Å, degrees): 12.1920 12.1920 12.1920 32.99 32.99 32.99
Closest atoms and distances in Å follow each position.
Positions (direct):
Sr 0.1389 0.1389 0.1389  12 Sn 3.46-3.66
Sr 0.2978 0.2978 0.2978  12 Sn 3.49-3.65
Sr 0.7022 0.7022 0.7022  12 Sn 3.49-3.65
Sr 0.8611 0.8611 0.8611  12 Sn 3.46-3.66
Sn 0.1610 0.5972 0.5972  4 Sn 3.02-3.15
Sn 0.2020 0.2020 0.7388  4 Sn 3.15-3.21, 2 Sr 3.49
Sn 0.2020 0.7388 0.2020  4 Sn 3.15-3.21, 2 Sr 3.49
Sn 0.2612 0.7980 0.7980  4 Sn 3.15-3.21, 2 Sr 3.49
Sn 0.4028 0.4028 0.8390  4 Sn 3.02-3.15
Sn 0.4028 0.8390 0.4028  4 Sn 3.02-3.15
Sn 0.5972 0.1610 0.5972  4 Sn 3.02-3.15
Sn 0.5972 0.5972 0.1610  4 Sn 3.02-3.15
Sn 0.7388 0.2020 0.2020  4 Sn 3.15-3.21, 2 Sr 3.49
Sn 0.7980 0.2612 0.7980  4 Sn 3.15-3.21, 2 Sr 3.49
Sn 0.7980 0.7980 0.2612  4 Sn 3.15-3.21, 2 Sr 3.49
Sn 0.8390 0.4028 0.4028  4 Sn 3.02-3.15

First-principles (meta-GGA r2SCAN) data for crystalline SbRh at its relaxed geometry, as listed in the Materials Project.

Lattice parameters (Å, degrees): 6.0044 3.8834 6.3980 90.00 90.00 90.00
Closest atoms and distances in Å follow each position.
Positions (direct):
Sb 0.1979 0.2500 0.0906  6 Rh 2.60-2.78
Sb 0.3021 0.7500 0.5906  6 Rh 2.60-2.78
Sb 0.6979 0.2500 0.4094  6 Rh 2.60-2.78
Sb 0.8021 0.7500 0.9094  6 Rh 2.60-2.78
Rh 0.0046 0.2500 0.6959  6 Sb 2.60-2.78
Rh 0.4954 0.7500 0.1959  6 Sb 2.60-2.78
Rh 0.5046 0.2500 0.8041  6 Sb 2.60-2.78
Rh 0.9954 0.7500 0.3041  6 Sb 2.60-2.78

First-principles (meta-GGA r2SCAN) data for crystalline MgCdPd2 at its relaxed geometry, as listed in the Materials Project.

Lattice parameters (Å, degrees): 4.5359 4.5359 4.5359 60.00 60.00 60.00
Closest atoms and distances in Å follow each position.
Positions (direct):
Mg 0.0000 0.0000 0.0000  8 Pd 2.78
Cd 0.5000 0.5000 0.5000  8 Pd 2.78
Pd 0.2500 0.2500 0.2500  4 Cd 2.78, 4 Mg 2.78
Pd 0.7500 0.7500 0.7500  4 Cd 2.78, 4 Mg 2.78

First-principles (meta-GGA r2SCAN) data for crystalline K2LiRhF6 at its relaxed geometry, as listed in the Materials Project.

Lattice parameters (Å, degrees): 5.6652 5.6652 5.6652 60.00 60.00 60.00
Closest atoms and distances in Å follow each position.
Positions (direct):
K 0.2500 0.2500 0.2500  12 F 2.83
K 0.7500 0.7500 0.7500  12 F 2.83
Li 0.0000 0.0000 0.0000  6 F 2.02
Rh 0.5000 0.5000 0.5000  6 F 1.99
F 0.2520 0.2520 0.7480  1 Rh 1.99, 1 Li 2.02
F 0.2520 0.7480 0.2520  1 Rh 1.99, 1 Li 2.02
F 0.2520 0.7480 0.7480  1 Rh 1.99, 1 Li 2.02
F 0.7480 0.2520 0.2520  1 Rh 1.99, 1 Li 2.02
F 0.7480 0.2520 0.7480  1 Rh 1.99, 1 Li 2.02
F 0.7480 0.7480 0.2520  1 Rh 1.99, 1 Li 2.02

First-principles (meta-GGA r2SCAN) data for crystalline MoPb2O5 at its relaxed geometry, as listed in the Materials Project.

Lattice parameters (Å, degrees): 7.6875 7.6875 7.3528 111.67 111.67 44.46
Closest atoms and distances in Å follow each position.
Positions (direct):
Mo 0.1693 0.1693 0.1596  4 O 1.76-1.79
Mo 0.8307 0.8307 0.8404  4 O 1.76-1.79
Pb 0.1365 0.1365 0.6127  3 O 2.31-2.46
Pb 0.4876 0.4876 0.2446  3 O 2.31-2.55
Pb 0.5124 0.5124 0.7554  3 O 2.31-2.55
Pb 0.8635 0.8635 0.3873  3 O 2.31-2.46
O 0.0897 0.0897 0.9002  1 Mo 1.79
O 0.0963 0.6120 0.7211  1 Mo 1.76
O 0.2530 0.7470 0.5000  4 Pb 2.31
O 0.2998 0.2998 0.1946  1 Mo 1.77
O 0.3880 0.9037 0.2789  1 Mo 1.76
O 0.6120 0.0963 0.7211  1 Mo 1.76
O 0.7002 0.7002 0.8054  1 Mo 1.77
O 0.7470 0.2530 0.5000  4 Pb 2.31
O 0.9037 0.3880 0.2789  1 Mo 1.76
O 0.9103 0.9103 0.0998  1 Mo 1.79

First-principles (meta-GGA r2SCAN) data for crystalline Tb5Ru2O12 at its relaxed geometry, as listed in the Materials Project.

Lattice parameters (Å, degrees): 6.8402 6.8402 7.2970 105.56 105.56 50.21
Closest atoms and distances in Å follow each position.
Positions (direct):
Tb 0.0000 0.0000 0.0000  6 O 2.31-2.33
Tb 0.3026 0.3026 0.1388  7 O 2.28-2.39
Tb 0.3075 0.3075 0.6705  7 O 2.29-2.41
Tb 0.6925 0.6925 0.3295  7 O 2.29-2.41
Tb 0.6974 0.6974 0.8612  7 O 2.28-2.39
Ru 0.2517 0.7483 0.5000  6 O 1.93-2.03
Ru 0.7483 0.2517 0.5000  6 O 1.93-2.03
O 0.9997 0.9997 0.3171  2 Ru 1.98
O 0.0003 0.0003 0.6829  2 Ru 1.98
O 0.0953 0.5969 0.9246  4 Tb 2.28-2.33
O 0.1000 0.5744 0.4182  1 Ru 1.93
O 0.4031 0.9047 0.0754  4 Tb 2.28-2.33
O 0.4256 0.9000 0.5818  1 Ru 1.93
O 0.5001 0.5001 0.3033  2 Ru 2.03
O 0.4999 0.4999 0.6967  2 Ru 2.03
O 0.5744 0.1000 0.4182  1 Ru 1.93
O 0.5969 0.0953 0.9246  4 Tb 2.28-2.33
O 0.9000 0.4256 0.5818  1 Ru 1.93
O 0.9047 0.4031 0.0754  4 Tb 2.28-2.33

First-principles (meta-GGA r2SCAN) data for crystalline MgZn7O8 at its relaxed geometry, as listed in the Materials Project.

Lattice parameters (Å, degrees): 6.4904 6.4904 5.2022 90.00 90.00 120.00
Closest atoms and distances in Å follow each position.
Positions (direct):
Mg 0.0000 0.0000 0.0000  4 O 1.96-1.97
Zn 0.0016 0.5008 0.9982  4 O 1.97-1.99
Zn 0.1667 0.3334 0.5009  4 O 1.97-1.98
Zn 0.1667 0.8333 0.5009  4 O 1.97-1.98
Zn 0.4992 0.5008 0.9982  4 O 1.97-1.99
Zn 0.4992 0.9984 0.9982  4 O 1.97-1.99
Zn 0.6667 0.3333 0.4990  4 O 1.97-1.99
Zn 0.6666 0.8333 0.5009  4 O 1.97-1.98
O 0.0000 0.0000 0.3793  1 Mg 1.97, 3 Zn 1.98
O 0.0004 0.5002 0.3802  4 Zn 1.97-1.99
O 0.1657 0.3313 0.8817  1 Mg 1.96, 3 Zn 1.97-1.98
O 0.1657 0.8343 0.8817  1 Mg 1.96, 3 Zn 1.97-1.98
O 0.4998 0.9996 0.3802  4 Zn 1.97-1.99
O 0.4998 0.5002 0.3802  4 Zn 1.97-1.99
O 0.6667 0.3333 0.8807  4 Zn 1.98-1.99
O 0.6687 0.8343 0.8817  1 Mg 1.96, 3 Zn 1.97-1.98

First-principles (meta-GGA r2SCAN) data for crystalline LaBe13 at its relaxed geometry, as listed in the Materials Project.

Lattice parameters (Å, degrees): 7.3592 7.3592 7.3592 60.00 60.00 60.00
Closest atoms and distances in Å follow each position.
Positions (direct):
La 0.2500 0.2500 0.2500  24 Be 3.07
La 0.7500 0.7500 0.7500  24 Be 3.07
Be 0.0000 0.0000 0.0000  12 Be 2.17
Be 0.0630 0.2874 0.7126  10 Be 2.17-2.34
Be 0.0630 0.7126 0.9370  10 Be 2.17-2.34
Be 0.0630 0.9370 0.2874  10 Be 2.17-2.34
Be 0.2126 0.4370 0.7874  10 Be 2.17-2.34
Be 0.2126 0.5630 0.4370  10 Be 2.17-2.34
Be 0.2126 0.7874 0.5630  10 Be 2.17-2.34
Be 0.2874 0.0630 0.9370  10 Be 2.17-2.34
Be 0.2874 0.7126 0.0630  10 Be 2.17-2.34
Be 0.2874 0.9370 0.7126  10 Be 2.17-2.34
Be 0.4370 0.2126 0.5630  10 Be 2.17-2.34
Be 0.4370 0.5630 0.7874  10 Be 2.17-2.34
Be 0.4370 0.7874 0.2126  10 Be 2.17-2.34
Be 0.5000 0.5000 0.5000  12 Be 2.17
Be 0.5630 0.2126 0.7874  10 Be 2.17-2.34
Be 0.5630 0.4370 0.2126  10 Be 2.17-2.34
Be 0.5630 0.7874 0.4370  10 Be 2.17-2.34
Be 0.7126 0.0630 0.2874  10 Be 2.17-2.34
Be 0.7126 0.2874 0.9370  10 Be 2.17-2.34
Be 0.7126 0.9370 0.0630  10 Be 2.17-2.34
Be 0.7874 0.2126 0.4370  10 Be 2.17-2.34
Be 0.7874 0.4370 0.5630  10 Be 2.17-2.34
Be 0.7874 0.5630 0.2126  10 Be 2.17-2.34
Be 0.9370 0.0630 0.7126  10 Be 2.17-2.34
Be 0.9370 0.2874 0.0630  10 Be 2.17-2.34
Be 0.9370 0.7126 0.2874  10 Be 2.17-2.34

First-principles (meta-GGA r2SCAN) data for crystalline Tb3Mg at its relaxed geometry, as listed in the Materials Project.

Lattice parameters (Å, degrees): 7.0482 7.0482 5.5348 90.00 90.00 120.00
Closest atoms and distances in Å follow each position.
Positions (direct):
Tb 0.1709 0.3419 0.2500  4 Mg 3.40-3.52, 8 Tb 3.43-3.61
Tb 0.1709 0.8291 0.2500  4 Mg 3.40-3.52, 8 Tb 3.43-3.61
Tb 0.3419 0.1709 0.7500  4 Mg 3.40-3.52, 8 Tb 3.43-3.61
Tb 0.6581 0.8291 0.2500  4 Mg 3.40-3.52, 8 Tb 3.43-3.61
Tb 0.8291 0.1709 0.7500  4 Mg 3.40-3.52, 8 Tb 3.43-3.61
Tb 0.8291 0.6581 0.7500  4 Mg 3.40-3.52, 8 Tb 3.43-3.61
Mg 0.3333 0.6667 0.7500  12 Tb 3.40-3.52
Mg 0.6667 0.3333 0.2500  12 Tb 3.40-3.52

First-principles (meta-GGA r2SCAN) data for crystalline EuAl3Ag2 at its relaxed geometry, as listed in the Materials Project.

Lattice parameters (Å, degrees): 5.5616 5.5616 4.3955 90.00 90.00 120.00
Closest atoms and distances in Å follow each position.
Positions (direct):
Eu 0.0000 0.0000 0.0000  6 Ag 3.21, 12 Al 3.54
Al 0.0000 0.5000 0.5000  4 Ag 2.72, 4 Al 2.78
Al 0.5000 0.0000 0.5000  4 Ag 2.72, 4 Al 2.78
Al 0.5000 0.5000 0.5000  4 Ag 2.72, 4 Al 2.78
Ag 0.3333 0.6667 0.0000  6 Al 2.72
Ag 0.6667 0.3333 0.0000  6 Al 2.72

First-principles (meta-GGA r2SCAN) data for crystalline FeSb2O6 at its relaxed geometry, as listed in the Materials Project.

Lattice parameters (Å, degrees): 4.6813 9.3624 9.4056 90.00 90.00 90.00
Closest atoms and distances in Å follow each position.
Positions (direct):
Fe 0.9998 0.5001 0.0000  6 O 2.05-2.08
Fe 0.4998 0.7499 0.5000  6 O 2.05-2.08
Fe 0.9998 0.0001 0.0000  6 O 2.05-2.08
Fe 0.4998 0.2499 0.5000  6 O 2.05-2.08
Sb 0.0000 0.0000 0.3324  6 O 2.00-2.02
Sb 0.0000 0.5000 0.3324  6 O 2.00-2.02
Sb 0.5000 0.2500 0.8324  6 O 2.00-2.02
Sb 0.5000 0.7500 0.8324  6 O 2.00-2.02
Sb 0.5000 0.2500 0.1676  6 O 2.00-2.02
Sb 0.5000 0.7500 0.1676  6 O 2.00-2.02
Sb 0.0000 0.0000 0.6676  6 O 2.00-2.02
Sb 0.0000 0.5000 0.6676  6 O 2.00-2.02
O 0.3096 0.1548 0.0000  2 Sb 2.02, 1 Fe 2.05
O 0.3096 0.6548 0.0000  2 Sb 2.02, 1 Fe 2.05
O 0.1905 0.4047 0.5000  2 Sb 2.02, 1 Fe 2.05
O 0.1905 0.9047 0.5000  2 Sb 2.02, 1 Fe 2.05
O 0.8096 0.0952 0.5000  2 Sb 2.02, 1 Fe 2.05
O 0.8096 0.5952 0.5000  2 Sb 2.02, 1 Fe 2.05
O 0.6905 0.3453 0.0000  2 Sb 2.02, 1 Fe 2.05
O 0.6905 0.8453 0.0000  2 Sb 2.02, 1 Fe 2.05
O 0.3025 0.1512 0.3285  2 Sb 2.00, 1 Fe 2.08
O 0.3025 0.6512 0.3285  2 Sb 2.00, 1 Fe 2.08
O 0.1976 0.4012 0.8286  2 Sb 2.00, 1 Fe 2.08
O 0.1976 0.9012 0.8286  2 Sb 2.00, 1 Fe 2.08
O 0.8025 0.0988 0.8285  2 Sb 2.00, 1 Fe 2.08
O 0.8025 0.5988 0.8285  2 Sb 2.00, 1 Fe 2.08
O 0.8025 0.0988 0.1715  2 Sb 2.00, 1 Fe 2.08
O 0.8025 0.5988 0.1715  2 Sb 2.00, 1 Fe 2.08
O 0.1976 0.4012 0.1714  2 Sb 2.00, 1 Fe 2.08
O 0.1976 0.9012 0.1714  2 Sb 2.00, 1 Fe 2.08
O 0.6976 0.3488 0.3286  2 Sb 2.00, 1 Fe 2.08
O 0.6976 0.8488 0.3286  2 Sb 2.00, 1 Fe 2.08
O 0.3025 0.1512 0.6715  2 Sb 2.00, 1 Fe 2.08
O 0.3025 0.6512 0.6715  2 Sb 2.00, 1 Fe 2.08
O 0.6976 0.3488 0.6714  2 Sb 2.00, 1 Fe 2.08
O 0.6976 0.8488 0.6714  2 Sb 2.00, 1 Fe 2.08

First-principles (meta-GGA r2SCAN) data for crystalline Ce2BiO2 at its relaxed geometry, as listed in the Materials Project.

Lattice parameters (Å, degrees): 7.2305 7.2305 7.2305 147.72 147.72 46.29
Closest atoms and distances in Å follow each position.
Positions (direct):
Ce 0.1598 0.1598 0.0000  4 O 2.34
Ce 0.8402 0.8402 0.0000  4 O 2.34
Bi 0.5000 0.5000 0.0000  8 Ce 3.55, 8 O 3.88
O 0.2500 0.7500 0.5000  4 Ce 2.34
O 0.7500 0.2500 0.5000  4 Ce 2.34

Record order is preserved below.
E_form: -0.38; -0.53; -0.57; -2.67; -1.82; -3.04; -1.80; -0.15; 0.00; -0.35; -1.60; -2.88 eV per atom
Record order is preserved below.
Electronic total energy: -22.730; -25.450; -18.114; -8.399; -22.880; -17.703; -8.944; -6.298; -24.465; -17.252; -12.900; -29.309 eV per atom